[1]
A relaxed structure of Li9Mn2Co5O16, computed with GGA+U.

Properties
Total magnetic moment ... 18.00 Bohr magnetons per cell
Distance to the lowest polymorph of the same formula ... 0.081 eV per atom

a b c (Å): 3.0360 9.7885 10.0097
angles (deg): 87.53 88.14 82.89
Last column: nearest neighbours and their distance in Å.
Element x y z (fractional)
Li (0.0000, 0.0000, 0.0000)  6 O 2.02-2.23
Li (0.1163, 0.7552, 0.1903)  6 O 2.08-2.31
Li (0.1278, 0.7527, 0.6869)  6 O 2.01-2.25
Li (0.3771, 0.2490, 0.5642)  6 O 2.07-2.25
Li (0.3814, 0.2415, 0.0630)  6 O 2.17-2.23
Li (0.6186, 0.7585, 0.9370)  6 O 2.17-2.23
Li (0.6229, 0.7510, 0.4358)  6 O 2.07-2.25
Li (0.8722, 0.2473, 0.3131)  6 O 2.01-2.25
Li (0.8837, 0.2448, 0.8097)  6 O 2.08-2.31
Mn (0.2428, 0.5003, 0.8734)  4 O 1.95-1.99
Mn (0.7572, 0.4997, 0.1266)  4 O 1.95-1.99
Co (0.0000, 0.0000, 0.5000)  6 O 1.91-2.13
Co (0.2531, 0.5006, 0.3769)  6 O 1.92-2.13
Co (0.4987, 0.0013, 0.2412)  3 O 1.74-1.94
Co (0.5013, 0.9987, 0.7588)  3 O 1.74-1.94
Co (0.7469, 0.4994, 0.6231)  6 O 1.92-2.13
O (0.0828, 0.8858, 0.8357)  2 Co 1.91-2.11, 2 Li 2.01-2.02
O (0.0895, 0.8872, 0.3483)  2 Co 1.91-2.02, 1 Li 2.08
O (0.1583, 0.6182, 0.0282)  2 Mn 1.96-1.99, 1 Li 2.14
O (0.1980, 0.6165, 0.5275)  3 Co 1.92-2.13, 2 Li 2.11-2.12
O (0.2920, 0.3855, 0.7181)  1 Mn 1.95, 2 Co 2.06-2.11, 2 Li 2.07-2.12
O (0.3447, 0.3844, 0.2242)  1 Co 1.94, 1 Mn 1.99, 1 Li 2.15
O (0.4404, 0.1146, 0.8874)  1 Co 1.74
O (0.4498, 0.1099, 0.3993)  3 Co 1.94-2.13, 1 Li 2.11
O (0.5502, 0.8901, 0.6007)  3 Co 1.94-2.13, 1 Li 2.11
O (0.5596, 0.8854, 0.1126)  1 Co 1.74
O (0.6553, 0.6156, 0.7758)  1 Co 1.94, 1 Mn 1.99, 1 Li 2.15
O (0.7080, 0.6145, 0.2819)  1 Mn 1.95, 2 Co 2.06-2.11, 2 Li 2.07-2.12
O (0.8020, 0.3835, 0.4725)  3 Co 1.92-2.13, 2 Li 2.11-2.12
O (0.8417, 0.3818, 0.9718)  2 Mn 1.96-1.99, 1 Li 2.14
O (0.9105, 0.1128, 0.6517)  2 Co 1.91-2.02, 1 Li 2.08
O (0.9172, 0.1142, 0.1643)  2 Co 1.91-2.11, 2 Li 2.01-2.02

=====

[2]
A relaxed structure of NaLiV2O6, computed with GGA+U.

Properties
Total magnetic moment ... 0.00 Bohr magnetons per cell
Distance to the lowest polymorph of the same formula ... 0.015 eV per atom

a b c (Å): 7.0222 7.0256 11.8734
angles (deg): 74.66 74.67 82.51
Last column: nearest neighbours and their distance in Å.
Element x y z (fractional)
Na (0.0000, 0.0000, 0.0000)  6 O 2.35-2.59
Na (0.0046, 0.9947, 0.5009)  6 O 2.34-2.53
Na (0.3672, 0.6303, 0.0013)  6 O 2.29-2.40
Na (0.5677, 0.4285, 0.7487)  6 O 2.33-2.60
Li (0.1928, 0.8057, 0.2539)  4 O 2.11-2.21
Li (0.1939, 0.8078, 0.7470)  6 O 2.15-2.34
Li (0.3782, 0.6205, 0.5001)  6 O 2.14-2.39
Li (0.5335, 0.4676, 0.2535)  2 O 1.97-1.99
V (0.0854, 0.3342, 0.7521)  4 O 1.67-1.83
V (0.0925, 0.3263, 0.2563)  4 O 1.67-1.82
V (0.4833, 0.0909, 0.0003)  4 O 1.66-1.83
V (0.4858, 0.0997, 0.4961)  4 O 1.68-1.83
V (0.6689, 0.9081, 0.2488)  4 O 1.67-1.82
V (0.6702, 0.9143, 0.7445)  4 O 1.67-1.83
V (0.9049, 0.5152, 0.0038)  4 O 1.67-1.84
V (0.9048, 0.5157, 0.5014)  4 O 1.67-1.82
O (0.0635, 0.6970, 0.9436)  1 V 1.69
O (0.0734, 0.6897, 0.4480)  1 V 1.69
O (0.1853, 0.0918, 0.2815)  1 V 1.67
O (0.1879, 0.1026, 0.7763)  1 V 1.67
O (0.2613, 0.5005, 0.6978)  1 V 1.69
O (0.2754, 0.4849, 0.2133)  1 V 1.70
O (0.3022, 0.9315, 0.0587)  1 V 1.69
O (0.3106, 0.9326, 0.5515)  1 V 1.69
O (0.3817, 0.3203, 0.9692)  1 V 1.66
O (0.3851, 0.3319, 0.4700)  1 V 1.68
O (0.5046, 0.7391, 0.7909)  1 V 1.69
O (0.5082, 0.7252, 0.2985)  1 V 1.70
O (0.6341, 0.0696, 0.3506)  2 V 1.82
O (0.6352, 0.0618, 0.8548)  2 V 1.82-1.83
O (0.6439, 0.0627, 0.1030)  2 V 1.82-1.83
O (0.6464, 0.0713, 0.5993)  2 V 1.82-1.83
O (0.6736, 0.6189, 0.5243)  1 V 1.67
O (0.6746, 0.6141, 0.0389)  1 V 1.67
O (0.9021, 0.8130, 0.7202)  1 V 1.67
O (0.9030, 0.8132, 0.2240)  1 V 1.67
O (0.9261, 0.3645, 0.6486)  2 V 1.82-1.83
O (0.9312, 0.3577, 0.8988)  2 V 1.83-1.84
O (0.9348, 0.3524, 0.4004)  2 V 1.82
O (0.9447, 0.3659, 0.1468)  2 V 1.81

=====

[3]
A relaxed structure of K2VH2OF5, computed with GGA+U.

Properties
Total magnetic moment ... 4.00 Bohr magnetons per cell
Energy ... -114.7 eV for the cell shown

a b c (Å): 6.3898 6.3898 8.0144
angles (deg): 94.85 94.85 78.87
Last column: nearest neighbours and their distance in Å.
Element x y z (fractional)
K (0.1974, 0.2009, 0.0346)  7 F 2.72-2.88
K (0.2009, 0.1974, 0.5346)  7 F 2.72-2.88
K (0.7991, 0.8026, 0.4654)  7 F 2.72-2.88
K (0.8026, 0.7991, 0.9654)  7 F 2.72-2.88
V (0.2973, 0.7027, 0.7500)  5 F 1.95-2.01, 1 O 2.11
V (0.7027, 0.2973, 0.2500)  5 F 1.95-2.01, 1 O 2.11
H (0.3490, 0.5986, 0.3449)  1 O 1.00
H (0.4014, 0.6510, 0.1551)  1 O 1.00
H (0.5986, 0.3490, 0.8449)  1 O 1.00
H (0.6510, 0.4014, 0.6551)  1 O 1.00
O (0.4432, 0.5568, 0.2500)  2 H 1.00
O (0.5568, 0.4432, 0.7500)  2 H 1.00
F (0.0497, 0.9503, 0.7500)  1 V 2.01
F (0.1154, 0.5133, 0.8104)  1 V 1.95
F (0.2221, 0.6324, 0.5112)  1 H 1.60
F (0.3676, 0.7779, 0.9888)  1 H 1.60
F (0.4867, 0.8846, 0.6896)  1 V 1.95
F (0.5133, 0.1154, 0.3104)  1 V 1.95
F (0.6324, 0.2221, 0.0112)  1 H 1.60
F (0.7779, 0.3676, 0.4888)  1 H 1.60
F (0.8846, 0.4867, 0.1896)  1 V 1.95
F (0.9503, 0.0497, 0.2500)  1 V 2.01

=====

[4]
A relaxed structure of MgV8Zn4O16, computed with GGA+U.

Properties
Total magnetic moment ... 16.56 Bohr magnetons per cell
Distance to the lowest polymorph of the same formula ... 0.027 eV per atom

a b c (Å): 3.0407 10.6931 9.9142
angles (deg): 90.00 92.65 90.00
Last column: nearest neighbours and their distance in Å.
Element x y z (fractional)
Mg (0.0000, 0.0000, 0.0000)  4 O 1.95-2.06
V (0.0062, 0.1856, 0.4268)  5 O 2.04-2.12
V (0.0062, 0.8144, 0.4268)  5 O 2.04-2.12
V (0.0284, 0.3307, 0.1602)  6 O 2.05-2.16
V (0.0284, 0.6693, 0.1602)  6 O 2.05-2.16
V (0.4915, 0.2202, 0.9111)  5 O 1.98-2.11
V (0.4915, 0.7798, 0.9111)  5 O 1.98-2.11
V (0.4989, 0.3341, 0.6490)  6 O 2.01-2.17
V (0.4989, 0.6659, 0.6490)  6 O 2.01-2.17
Zn (0.1045, 0.5000, 0.8963)  4 O 2.06-2.18
Zn (0.5031, 0.0000, 0.6656)  3 O 1.94-1.95
Zn (0.5051, 0.0000, 0.2342)  2 O 2.05-2.06
Zn (0.6698, 0.5000, 0.3944)  4 O 2.02-2.09
O (0.0072, 0.1800, 0.0329)  1 Mg 1.95, 3 V 1.98-2.05
O (0.0072, 0.8200, 0.0329)  1 Mg 1.95, 3 V 1.98-2.05
O (0.0240, 0.0000, 0.3743)  2 V 2.05, 2 Zn 2.05-2.06
O (0.1395, 0.5000, 0.2571)  2 Zn 2.02-2.06, 2 V 2.07
O (0.4819, 0.0000, 0.8610)  1 Zn 1.94, 2 Mg 2.04-2.06
O (0.4860, 0.3777, 0.0241)  3 V 2.02-2.14, 1 Zn 2.13
O (0.4860, 0.6223, 0.0241)  3 V 2.02-2.14, 1 Zn 2.13
O (0.5171, 0.1558, 0.5636)  1 Zn 1.95, 3 V 2.04-2.09
O (0.5171, 0.8442, 0.5636)  1 Zn 1.95, 3 V 2.04-2.09
O (0.5549, 0.5000, 0.7476)  2 V 2.03, 2 Zn 2.06-2.18
O (0.5634, 0.2506, 0.2825)  3 V 2.04-2.16
O (0.5634, 0.7494, 0.2825)  3 V 2.04-2.16
O (0.9913, 0.2717, 0.7808)  4 V 2.03-2.17
O (0.9905, 0.3654, 0.5162)  3 V 2.01-2.12, 1 Zn 2.09
O (0.9905, 0.6346, 0.5162)  3 V 2.01-2.12, 1 Zn 2.09
O (0.9913, 0.7283, 0.7808)  4 V 2.03-2.17

=====

[5]
A relaxed structure of K2TeW3O12, computed with GGA+U.

Properties
Total magnetic moment ... 0.00 Bohr magnetons per cell
Energy ... -482.9 eV for the cell shown

a b c (Å): 7.4002 11.9581 14.8108
angles (deg): 90.00 119.80 90.00
Last column: nearest neighbours and their distance in Å.
Element x y z (fractional)
K (0.1323, 0.0677, 0.3873)  5 O 2.63-2.93
K (0.1323, 0.4323, 0.8873)  5 O 2.63-2.93
K (0.1660, 0.0459, 0.9173)  7 O 2.81-3.14
K (0.1660, 0.4541, 0.4173)  7 O 2.81-3.14
K (0.8340, 0.5459, 0.5827)  7 O 2.81-3.14
K (0.8340, 0.9541, 0.0827)  7 O 2.81-3.14
K (0.8677, 0.5677, 0.1127)  5 O 2.63-2.93
K (0.8677, 0.9323, 0.6127)  5 O 2.63-2.93
Te (0.4486, 0.5052, 0.6988)  3 O 1.89-1.93
Te (0.4486, 0.9948, 0.1988)  3 O 1.89-1.93
Te (0.5514, 0.0052, 0.8012)  3 O 1.89-1.93
Te (0.5514, 0.4948, 0.3012)  3 O 1.89-1.93
W (0.1680, 0.2489, 0.1679)  5 O 1.80-2.01
W (0.1680, 0.2511, 0.6679)  5 O 1.80-2.01
W (0.3188, 0.7455, 0.3272)  5 O 1.80-1.97
W (0.3188, 0.7545, 0.8272)  5 O 1.80-1.97
W (0.3339, 0.7039, 0.0794)  5 O 1.78-1.99
W (0.3339, 0.7961, 0.5794)  5 O 1.78-1.99
W (0.6661, 0.2039, 0.4206)  5 O 1.78-1.99
W (0.6661, 0.2961, 0.9206)  5 O 1.78-1.99
W (0.6812, 0.2455, 0.1728)  5 O 1.80-1.97
W (0.6812, 0.2545, 0.6728)  5 O 1.80-1.97
W (0.8320, 0.7489, 0.3321)  5 O 1.80-2.01
W (0.8320, 0.7511, 0.8321)  5 O 1.80-2.01
O (0.0373, 0.7330, 0.9755)  2 W 1.91-1.99
O (0.0373, 0.7670, 0.4755)  2 W 1.91-1.99
O (0.0506, 0.6907, 0.3043)  2 W 1.95-1.98
O (0.0506, 0.8093, 0.8043)  2 W 1.95-1.98
O (0.1629, 0.1114, 0.7115)  1 W 1.80
O (0.1629, 0.3886, 0.2115)  1 W 1.80
O (0.1940, 0.0803, 0.1309)  1 Te 1.93, 1 W 2.12
O (0.1940, 0.4197, 0.6309)  1 Te 1.93, 1 W 2.12
O (0.2318, 0.6138, 0.7868)  1 W 1.80
O (0.2318, 0.8862, 0.2868)  1 W 1.80
O (0.2533, 0.6959, 0.1871)  2 W 1.96-1.97
O (0.2533, 0.8041, 0.6871)  2 W 1.96-1.97
O (0.3117, 0.5576, 0.0550)  1 W 1.78
O (0.3117, 0.9424, 0.5550)  1 W 1.78
O (0.3415, 0.6187, 0.5966)  1 Te 1.89
O (0.3415, 0.8813, 0.0966)  1 Te 1.89
O (0.3778, 0.2000, 0.3123)  2 W 1.93-2.01
O (0.3778, 0.3000, 0.8123)  2 W 1.93-2.01
O (0.3977, 0.2215, 0.6442)  2 W 1.93-1.96
O (0.3977, 0.2785, 0.1442)  2 W 1.93-1.96
O (0.4095, 0.7378, 0.9733)  2 W 1.93-1.95
O (0.4095, 0.7622, 0.4733)  2 W 1.93-1.95
O (0.4297, 0.5778, 0.3693)  1 Te 1.93, 1 W 2.14
O (0.4297, 0.9222, 0.8693)  1 Te 1.93, 1 W 2.14
O (0.5703, 0.0778, 0.1307)  1 Te 1.93, 1 W 2.14
O (0.5703, 0.4222, 0.6307)  1 Te 1.93, 1 W 2.14
O (0.5905, 0.2378, 0.5267)  2 W 1.93-1.95
O (0.5905, 0.2622, 0.0267)  2 W 1.93-1.95
O (0.6023, 0.7215, 0.8558)  2 W 1.93-1.96
O (0.6023, 0.7785, 0.3558)  2 W 1.93-1.96
O (0.6222, 0.7000, 0.1877)  2 W 1.93-2.01
O (0.6222, 0.8000, 0.6877)  2 W 1.93-2.01
O (0.6585, 0.1187, 0.9034)  1 Te 1.89
O (0.6585, 0.3813, 0.4034)  1 Te 1.89
O (0.6883, 0.0576, 0.4450)  1 W 1.78
O (0.6883, 0.4424, 0.9450)  1 W 1.78
O (0.7467, 0.1959, 0.3129)  2 W 1.96-1.97
O (0.7467, 0.3041, 0.8129)  2 W 1.96-1.97
O (0.7682, 0.1138, 0.7132)  1 W 1.80
O (0.7682, 0.3862, 0.2132)  1 W 1.80
O (0.8060, 0.5803, 0.3691)  1 Te 1.93, 1 W 2.12
O (0.8060, 0.9197, 0.8691)  1 Te 1.93, 1 W 2.12
O (0.8371, 0.6114, 0.7885)  1 W 1.80
O (0.8371, 0.8886, 0.2885)  1 W 1.80
O (0.9494, 0.1907, 0.1957)  2 W 1.95-1.98
O (0.9494, 0.3093, 0.6957)  2 W 1.95-1.98
O (0.9627, 0.2330, 0.5245)  2 W 1.91-1.99
O (0.9627, 0.2670, 0.0245)  2 W 1.91-1.99

=====

Q: Among the records above, which one has the highest total magnetic moment?
A: Li9Mn2Co5O16

=====

Q: Among the records above, which one has the highest total magnetic moment?
A: Li9Mn2Co5O16